Entry 1:
A relaxed Na2LuC2O6F crystal, computed with meta-GGA r2SCAN.

Computed properties:
**Mass density**: 4.18 g/cm³
**Electronic total energy**: -11.071 eV per atom
**ΔH_f (0 K)**: -2399 meV/atom

a = 9.104 Å, b = 9.104 Å, c = 11.092 Å
α = 87.71°, β = 87.71°, γ = 38.51°
Element x y z (fractional)
O1 0.993 0.391 0.323
O2 0.817 0.174 0.563
O3 0.421 0.432 0.083
O4 0.391 0.993 0.823
O5 0.929 0.767 0.496
O6 0.183 0.826 0.437
O7 0.904 0.296 0.800
O8 0.767 0.929 0.996
O9 0.609 0.007 0.177
O10 0.826 0.183 0.937
O11 0.568 0.579 0.417
O12 0.233 0.071 0.004
O13 0.096 0.704 0.200
O14 0.007 0.609 0.677
O15 0.242 0.297 0.928
O16 0.432 0.421 0.583
O17 0.071 0.233 0.504
O18 0.579 0.568 0.917
O19 0.297 0.242 0.428
O20 0.703 0.758 0.572
O21 0.704 0.096 0.700
O22 0.296 0.904 0.300
O23 0.758 0.703 0.072
O24 0.174 0.817 0.063
Na1 0.663 0.849 0.362
Na2 0.151 0.337 0.138
Na3 0.480 0.299 0.879
Na4 0.299 0.480 0.379
Na5 0.701 0.520 0.621
Na6 0.520 0.701 0.121
Na7 0.337 0.151 0.638
Na8 0.849 0.663 0.862
C1 0.709 0.876 0.082
C2 0.355 0.765 0.385
C3 0.124 0.291 0.418
C4 0.235 0.645 0.115
C5 0.765 0.355 0.885
C6 0.876 0.709 0.582
C7 0.291 0.124 0.918
C8 0.645 0.235 0.615
Lu1 0.783 0.097 0.127
Lu2 0.097 0.783 0.627
Lu3 0.903 0.217 0.373
Lu4 0.217 0.903 0.873
F1 0.815 0.301 0.182
F2 0.301 0.815 0.682
F3 0.699 0.185 0.318
F4 0.185 0.699 0.818



Entry 2:
A relaxed UV2O6 crystal, computed with meta-GGA r2SCAN.

Computed properties:
**Mass density**: 7.01 g/cm³
**Electronic total energy**: -18.997 eV per atom
**ΔH_f (0 K)**: -3002 meV/atom

a = 4.958 Å, b = 4.958 Å, c = 4.853 Å
α = 90.00°, β = 90.00°, γ = 120.00°
Element x y z (fractional)
O1 0.655 0.000 0.727
O2 0.000 0.345 0.273
O3 0.000 0.655 0.727
O4 0.345 0.000 0.273
O5 0.655 0.655 0.273
O6 0.345 0.345 0.727
V1 0.333 0.667 0.500
V2 0.667 0.333 0.500
U1 0.000 0.000 0.000



Entry 3:
A relaxed LiDyS2 crystal, computed with meta-GGA r2SCAN.

Computed properties:
**Mass density**: 4.75 g/cm³
**Electronic total energy**: -14.722 eV per atom
**ΔH_f (0 K)**: -2113 meV/atom

a = 7.657 Å, b = 10.212 Å, c = 6.758 Å
α = 29.06°, β = 55.49°, γ = 41.43°
Element x y z (fractional)
Li1 0.000 0.000 0.000
Li2 0.750 0.500 0.000
S1 0.006 0.500 0.489
S2 0.256 0.000 0.489
S3 0.494 0.500 0.511
S4 0.744 0.000 0.511
Dy1 0.250 0.500 0.000
Dy2 0.500 0.000 0.000



Entry 4:
A relaxed Pr2AgHg crystal, computed with meta-GGA r2SCAN.

Computed properties:
**Mass density**: 8.89 g/cm³
**Electronic total energy**: -32.780 eV per atom
**ΔH_f (0 K)**: -397 meV/atom

a = 5.383 Å, b = 5.383 Å, c = 5.383 Å
α = 60.00°, β = 60.00°, γ = 60.00°
Element x y z (fractional)
Pr1 0.000 0.000 0.000
Pr2 0.500 0.500 0.500
Hg1 0.750 0.750 0.750
Ag1 0.250 0.250 0.250



Entry 5:
A relaxed LaAs2Ru2 crystal, computed with meta-GGA r2SCAN.

Computed properties:
**Mass density**: 8.54 g/cm³
**Electronic total energy**: -22.872 eV per atom
**ΔH_f (0 K)**: -870 meV/atom

a = 4.181 Å, b = 4.181 Å, c = 6.212 Å
α = 109.66°, β = 109.66°, γ = 90.00°
Element x y z (fractional)
Ru1 0.750 0.250 0.500
Ru2 0.250 0.750 0.500
As1 0.362 0.362 0.725
As2 0.638 0.638 0.275
La1 0.000 0.000 0.000



Entry 6:
A relaxed ZnP2 crystal, computed with meta-GGA r2SCAN.

Computed properties:
**Mass density**: 3.60 g/cm³
**Electronic total energy**: -9.287 eV per atom
**ΔH_f (0 K)**: -315 meV/atom

a = 5.053 Å, b = 5.053 Å, c = 18.415 Å
α = 90.00°, β = 90.00°, γ = 90.00°
Element x y z (fractional)
Zn1 0.845 0.637 0.801
Zn2 0.345 0.863 0.449
Zn3 0.137 0.655 0.051
Zn4 0.655 0.137 0.949
Zn5 0.863 0.345 0.551
Zn6 0.637 0.845 0.199
Zn7 0.155 0.363 0.301
Zn8 0.363 0.155 0.699
P1 0.303 0.181 0.191
P2 0.319 0.803 0.941
P3 0.181 0.303 0.809
P4 0.509 0.518 0.374
P5 0.819 0.697 0.309
P6 0.018 0.991 0.624
P7 0.197 0.681 0.559
P8 0.803 0.319 0.059
P9 0.982 0.009 0.124
P10 0.991 0.018 0.376
P11 0.491 0.482 0.874
P12 0.681 0.197 0.441
P13 0.697 0.819 0.691
P14 0.518 0.509 0.626
P15 0.482 0.491 0.126
P16 0.009 0.982 0.876



Entry 7:
A relaxed Ta2CdBi crystal, computed with meta-GGA r2SCAN.

Computed properties:
**Mass density**: 13.44 g/cm³
**Electronic total energy**: -43.141 eV per atom
**ΔH_f (0 K)**: 807 meV/atom

a = 4.924 Å, b = 4.924 Å, c = 4.924 Å
α = 60.00°, β = 60.00°, γ = 60.00°
Element x y z (fractional)
Ta1 0.250 0.250 0.250
Ta2 0.000 0.000 0.000
Bi1 0.500 0.500 0.500
Cd1 0.750 0.750 0.750



Entry 8:
A relaxed YbEuHg2 crystal, computed with meta-GGA r2SCAN.

Computed properties:
**Mass density**: 11.50 g/cm³
**Electronic total energy**: -43.994 eV per atom
**ΔH_f (0 K)**: -547 meV/atom

a = 5.293 Å, b = 5.293 Å, c = 5.293 Å
α = 60.00°, β = 60.00°, γ = 60.00°
Element x y z (fractional)
Yb1 0.000 0.000 0.000
Hg1 0.750 0.750 0.750
Hg2 0.250 0.250 0.250
Eu1 0.500 0.500 0.500